## Al2Si2PbO8 (PBE)

Data for a relaxed structure of Al2Si2PbO8.

Values from the calculation:
The formation enthalpy at 0 K comes out at -3.10 eV/atom. As for the space-group type: C2/c, No. 15. For the polymorph energy (0 for the lowest one), the calculation gives 0.8 meV per atom.

Geometry as extended XYZ:
```
52
Lattice="-2.135 -7.991 -4.413 3.523 3.403 -7.994 7.659 -3.610 0.616" Properties=species:S:1:pos:R:3 pbc="T T T"
O 3.185 -0.329 -1.915
O 5.518 -3.918 -9.412
O 1.014 0.172 -3.518
O 3.528 -4.281 -2.378
O 2.641 -0.100 -8.364
O 6.707 -0.136 -7.806
O 0.674 -1.622 -1.173
O 6.406 -8.098 -3.427
O 2.354 -5.320 -7.352
O 10.339 -1.471 -6.316
O 5.378 -2.951 -7.033
O 3.636 -7.613 -6.262
O 7.091 -5.480 -3.891
O 5.646 -4.891 -0.741
O 5.411 -0.585 -5.529
O 3.401 -3.308 -11.050
O 1.505 -3.809 -3.887
O 7.542 -4.389 -7.904
O 8.373 -6.576 -10.618
O 2.340 -8.063 -3.985
O 8.924 -4.183 -5.352
O 5.242 -5.617 -7.248
O 3.866 -6.137 -10.496
O 3.805 -2.581 -4.543
O 0.123 -4.015 -6.439
O 6.693 -2.878 -4.439
O 5.862 -7.869 -9.876
O 3.669 -5.248 -4.758
O -1.292 -6.727 -5.474
O 1.956 -2.718 -7.900
O 8.033 -8.370 -8.272
O 5.181 -2.061 -1.294
Al 3.724 -5.851 -6.411
Al 7.599 -7.983 -9.949
Al 0.027 -3.496 -4.760
Al 1.448 -0.215 -1.841
Al 4.569 -4.569 -10.763
Al 4.478 -3.629 -1.027
Al 9.020 -4.703 -7.031
Al 5.323 -2.348 -5.380
Si 6.583 0.342 -6.235
Si 1.259 -4.149 -7.622
Si 7.788 -4.049 -4.169
Si 2.464 -8.540 -5.555
Si 5.922 -4.276 -7.841
Si 3.125 -3.922 -3.949
Si -1.358 -6.134 -3.941
Si 10.405 -2.064 -7.850
Pb 4.336 -6.910 -2.670
Pb 5.648 -8.917 -6.982
Pb 4.711 -1.288 -9.120
Pb 3.399 0.718 -4.809
```